First-principles (PBE) data for a relaxed Ag2S crystal, as listed in the Materials Project database.

Results
formation enthalpy at 0 K = -228 meV per atom

a b c (Å): 4.3350 5.9182 5.9206
angles (deg): 90.00 93.82 90.00
Atoms (fractional coordinates):
Ag  0.0000  0.0000  0.0000
Ag  0.0000  0.0000  0.5000
Ag  0.0000  0.5000  0.0000
Ag  0.0000  0.5000  0.5000
S  0.2921  0.2500  0.2631
S  0.7079  0.7500  0.7369